Entry 1:
MnSiO3 GGA+U optimized geometry; ΔE_f = -2.7799 eV/atom; electronic total energy = -7.92 eV/atom; space group = P2_1/c, No. 14
1.0
9.7511 0.0000 0.0000
0.0000 9.3091 0.0000
-1.2181 0.0000 5.2302
Mn Si O
8 8 24
direct
0.2466 0.0179 0.4758
0.2466 0.4821 0.9758
0.2489 0.6507 0.4810
0.2489 0.8493 0.9810
0.7511 0.1507 0.0190
0.7511 0.3493 0.5190
0.7534 0.5179 0.0242
0.7534 0.9821 0.5242
0.0499 0.1648 0.8047
0.0499 0.3352 0.3047
0.4566 0.1616 0.2435
0.4566 0.3384 0.7435
0.5434 0.6616 0.2565
0.5434 0.8384 0.7565
0.9501 0.6648 0.6953
0.9501 0.8352 0.1953
0.1009 0.2109 0.1152
0.1009 0.2891 0.6152
0.1224 0.6588 0.7673
0.1224 0.8412 0.2673
0.1295 0.0193 0.7549
0.1295 0.4807 0.2549
0.3715 0.6589 0.1925
0.3715 0.8411 0.6925
0.3795 0.0073 0.2157
0.3795 0.4927 0.7157
0.3986 0.2368 0.4849
0.3986 0.2632 0.9849
0.6014 0.7368 0.0151
0.6014 0.7632 0.5151
0.6205 0.5073 0.2843
0.6205 0.9927 0.7843
0.6285 0.1589 0.3075
0.6285 0.3411 0.8075
0.8705 0.5193 0.7451
0.8705 0.9807 0.2451
0.8776 0.1588 0.7327
0.8776 0.3412 0.2327
0.8991 0.7109 0.3848
0.8991 0.7891 0.8848

=====

Entry 2:
LiFeP2H5O9 GGA+U optimized geometry; ΔE_f = -1.9515 eV/atom; electronic total energy = -6.08 eV/atom; total magnetic moment = 8.0 μB/cell; E above lowest polymorph = 0.033 eV/atom; space group = P-1, No. 2
1.0
7.5586 0.0000 0.0000
2.7662 7.1145 0.0000
3.3728 -0.1690 7.2655
Li Fe P H O
2 2 4 10 18
direct
0.2167 0.3339 0.2592
0.7833 0.6661 0.7408
0.2268 0.7602 0.5355
0.7732 0.2398 0.4645
0.0411 0.8667 0.2423
0.3142 0.4184 0.7752
0.6858 0.5816 0.2248
0.9589 0.1333 0.7577
0.0806 0.2944 0.9549
0.2921 0.6393 0.9316
0.3084 0.9518 0.0455
0.3629 0.9213 0.7715
0.4968 0.9735 0.2289
0.5032 0.0265 0.7711
0.6371 0.0787 0.2285
0.6916 0.0482 0.9545
0.7079 0.3607 0.0684
0.9194 0.7056 0.0451
0.0635 0.7352 0.4016
0.0808 0.7587 0.0744
0.1623 0.5407 0.6918
0.1721 0.9747 0.6897
0.1946 0.3337 0.9633
0.2124 0.9678 0.1807
0.4112 0.5419 0.8322
0.4713 0.9096 0.8175
0.4908 0.2575 0.6501
0.5092 0.7425 0.3499
0.5287 0.0904 0.1825
0.5888 0.4581 0.1678
0.7876 0.0322 0.8193
0.8054 0.6663 0.0367
0.8279 0.0253 0.3103
0.8377 0.4593 0.3082
0.9192 0.2413 0.9256
0.9365 0.2648 0.5984

=====

Entry 3:
KHoCoSi2O7 GGA+U optimized geometry; ΔE_f = -2.9341 eV/atom; electronic total energy = -7.25 eV/atom; total magnetic moment = 6.0 μB/cell; E above lowest polymorph = 0.000 eV/atom; space group = C2, No. 5
1.0
4.0548 -4.9891 0.0000
4.0548 4.9891 0.0000
-2.7358 0.0000 8.1441
K Ho Co Si O
2 2 2 4 14
direct
0.2071 0.2071 0.2579
0.7929 0.7929 0.7421
0.1750 0.3244 0.7953
0.6756 0.8250 0.2047
0.2138 0.7862 0.5000
0.7029 0.2971 0.0000
0.1387 0.6539 0.1265
0.3461 0.8613 0.8735
0.5802 0.2710 0.6446
0.7290 0.4198 0.3554
0.0280 0.3930 0.0389
0.2037 0.0401 0.8838
0.2662 0.6715 0.6990
0.3051 0.6949 0.0000
0.3285 0.7338 0.3010
0.3289 0.1067 0.5845
0.5611 0.4215 0.8204
0.5785 0.4389 0.1796
0.5886 0.4114 0.5000
0.6070 0.9720 0.9611
0.8052 0.1910 0.3190
0.8090 0.1948 0.6810
0.8933 0.6711 0.4155
0.9599 0.7963 0.1162

=====

Entry 4:
LiCoO2 GGA+U optimized geometry; ΔE_f = -1.7085 eV/atom; electronic total energy = -5.68 eV/atom; total magnetic moment = 0.0 μB/cell; space group = P-1, No. 2
1.0
5.7752 0.0000 0.0000
-0.0384 5.7959 0.0000
-2.8537 -2.9016 4.1520
Li Co O
4 4 8
direct
0.0000 0.0000 0.0000
0.0000 0.0000 0.5000
0.0000 0.5000 0.0000
0.5000 0.0000 0.5000
0.0000 0.5000 0.5000
0.5000 0.0000 0.0000
0.5000 0.5000 0.0000
0.5000 0.5000 0.5000
0.2560 0.2703 0.5068
0.2635 0.7400 0.5123
0.2663 0.7538 0.9933
0.2726 0.2681 0.0296
0.7274 0.7319 0.9704
0.7337 0.2462 0.0067
0.7365 0.2600 0.4877
0.7440 0.7297 0.4932

=====

Entry 5:
KNdZrFeO6 GGA+U optimized geometry; ΔE_f = -2.6658 eV/atom; electronic total energy = -7.29 eV/atom; total magnetic moment = 4.0 μB/cell; space group = F-43m, No. 216
1.0
0.0000 4.0225 4.0225
4.0225 0.0000 4.0225
4.0225 4.0225 0.0000
K Nd Zr Fe O
1 1 1 1 6
direct
0.0000 0.0000 0.0000
0.5000 0.5000 0.5000
0.7500 0.7500 0.7500
0.2500 0.2500 0.2500
0.0077 0.0077 0.4923
0.0077 0.4923 0.0077
0.0077 0.4923 0.4923
0.4923 0.0077 0.0077
0.4923 0.0077 0.4923
0.4923 0.4923 0.0077

=====

Entry 6:
Pr2FeAs2RuO2 GGA+U optimized geometry; ΔE_f = -1.7122 eV/atom; electronic total energy = -7.07 eV/atom; total magnetic moment = 3.3 μB/cell; space group = P-4m2, No. 115
1.0
4.0507 0.0000 0.0000
0.0000 4.0507 0.0000
0.0000 0.0000 8.9726
Pr Fe As Ru O
2 1 2 1 2
direct
0.0000 0.5000 0.1350
0.5000 0.0000 0.8650
0.5000 0.5000 0.5000
0.0000 0.5000 0.6694
0.5000 0.0000 0.3306
0.0000 0.0000 0.5000
0.0000 0.0000 0.0000
0.5000 0.5000 0.0000

=====

Entry 7:
Cr2TeO6 GGA+U optimized geometry; ΔE_f = -2.0223 eV/atom; electronic total energy = -6.91 eV/atom; space group = P4_2/mnm, No. 136
1.0
4.6322 0.0000 0.0000
0.0000 4.6322 0.0000
0.0000 0.0000 9.1987
Cr Te O
4 2 12
direct
0.0000 0.0000 0.1653
0.0000 0.0000 0.8347
0.5000 0.5000 0.3347
0.5000 0.5000 0.6653
0.0000 0.0000 0.5000
0.5000 0.5000 0.0000
0.1915 0.1915 0.3370
0.1915 0.1915 0.6630
0.1997 0.1997 0.0000
0.3003 0.6997 0.5000
0.3085 0.6915 0.1630
0.3085 0.6915 0.8370
0.6915 0.3085 0.1630
0.6915 0.3085 0.8370
0.6997 0.3003 0.5000
0.8003 0.8003 0.0000
0.8085 0.8085 0.3370
0.8085 0.8085 0.6630

=====

Entry 8:
Li5Mn3O8 GGA+U optimized geometry; ΔE_f = -2.1219 eV/atom; electronic total energy = -6.25 eV/atom; total magnetic moment = 0.0 μB/cell; E above lowest polymorph = 0.028 eV/atom
1.0
2.8645 0.1141 0.6704
-1.3691 15.5258 -0.5869
-0.0643 -0.0136 6.4537
Li Mn O
10 6 16
direct
0.6250 0.1250 0.7501
0.1250 0.6250 0.7500
0.9483 0.1889 0.1078
0.4483 0.6888 0.1076
0.3017 0.0612 0.3923
0.8017 0.5612 0.3922
0.1353 0.4491 0.6342
0.6354 0.9491 0.6343
0.6146 0.3009 0.8657
0.1146 0.8009 0.8657
0.8749 0.3751 0.2502
0.4802 0.5054 0.9944
0.2698 0.2446 0.5056
0.3751 0.8750 0.2499
0.9802 0.0053 0.9947
0.7700 0.7446 0.5053
0.4678 0.0828 0.0606
0.9678 0.5829 0.0604
0.7821 0.1671 0.4396
0.2822 0.6671 0.4394
0.7733 0.3305 0.5444
0.2734 0.8305 0.5443
0.9765 0.4195 0.9556
0.4766 0.9195 0.9557
0.1267 0.2220 0.7891
0.6268 0.7220 0.7890
0.1233 0.0280 0.7111
0.6232 0.5280 0.7108
0.3078 0.4664 0.3016
0.8077 0.9663 0.3017
0.4422 0.2837 0.1985
0.9423 0.7837 0.1983

=====

Entry 9:
Li2Fe3WO8 GGA+U optimized geometry; ΔE_f = -1.9672 eV/atom; electronic total energy = -6.61 eV/atom; total magnetic moment = 28.0 μB/cell; E above lowest polymorph = 0.000 eV/atom; space group = Cmc2_1, No. 36
1.0
3.0233 -5.2414 0.0000
3.0233 5.2414 0.0000
0.0000 0.0000 9.7810
Li Fe W O
4 6 2 16
direct
0.0026 0.9974 0.5000
0.3318 0.6682 0.4221
0.6682 0.3318 0.9221
0.9974 0.0026 0.0000
0.1682 0.8318 0.7247
0.1729 0.3443 0.7285
0.3443 0.1729 0.2285
0.6557 0.8271 0.7285
0.8271 0.6557 0.2285
0.8318 0.1682 0.2247
0.3348 0.6652 0.0001
0.6652 0.3348 0.5001
0.0047 0.9953 0.3112
0.0440 0.5053 0.8692
0.1759 0.8241 0.1023
0.1915 0.3458 0.0994
0.3363 0.6637 0.6234
0.3458 0.1915 0.5994
0.4818 0.5182 0.8579
0.4947 0.9560 0.8692
0.5053 0.0440 0.3692
0.5182 0.4818 0.3579
0.6542 0.8085 0.0994
0.6637 0.3363 0.1234
0.8085 0.6542 0.5994
0.8241 0.1759 0.6023
0.9560 0.4947 0.3692
0.9953 0.0047 0.8112

=====

Entry 10:
Li2CrP4H16O20 GGA+U optimized geometry; ΔE_f = -1.8768 eV/atom; electronic total energy = -5.89 eV/atom; total magnetic moment = 8.0 μB/cell; space group = P2_1/c, No. 14
1.0
7.1850 0.0000 0.0000
0.0000 10.7011 0.0000
-5.4058 0.0000 10.8495
Li Cr P H O
4 2 8 32 40
direct
0.2042 0.1637 0.4578
0.2042 0.3363 0.9578
0.7958 0.6637 0.0422
0.7958 0.8363 0.5422
0.5000 0.0000 0.0000
0.5000 0.5000 0.5000
0.0405 0.0449 0.7780
0.0405 0.4551 0.2780
0.3161 0.7399 0.0837
0.3161 0.7601 0.5837
0.6839 0.2399 0.4163
0.6839 0.2601 0.9163
0.9595 0.5449 0.7220
0.9595 0.9551 0.2220
0.0894 0.5861 0.4249
0.0894 0.9139 0.9249
0.0974 0.6060 0.9451
0.0974 0.8940 0.4451
0.1367 0.7098 0.7114
0.1367 0.7902 0.2114
0.2540 0.0984 0.1069
0.2540 0.4016 0.6069
0.3344 0.0389 0.6917
0.3344 0.4611 0.1917
0.4645 0.1730 0.1584
0.4645 0.3270 0.6584
0.4829 0.5670 0.1047
0.4829 0.9330 0.6047
0.4935 0.6228 0.8108
0.4935 0.8772 0.3108
0.5065 0.1228 0.6892
0.5065 0.3772 0.1892
0.5171 0.0670 0.3953
0.5171 0.4330 0.8953
0.5355 0.6730 0.3416
0.5355 0.8270 0.8416
0.6656 0.5389 0.8083
0.6656 0.9611 0.3083
0.7460 0.5984 0.3931
0.7460 0.9016 0.8931
0.8633 0.2098 0.7886
0.8633 0.2902 0.2886
0.9026 0.1060 0.5549
0.9026 0.3940 0.0549
0.9106 0.0861 0.0751
0.9106 0.4139 0.5751
0.0129 0.1872 0.8062
0.0129 0.3128 0.3062
0.0343 0.0385 0.1403
0.0343 0.4615 0.6403
0.0981 0.5141 0.8573
0.0981 0.9859 0.3573
0.1036 0.6669 0.0154
0.1036 0.8331 0.5154
0.2722 0.0259 0.8191
0.2722 0.4741 0.3191
0.3060 0.6387 0.5159
0.3060 0.8613 0.0159
0.3446 0.1462 0.0808
0.3446 0.3538 0.5808
0.3505 0.7417 0.7171
0.3505 0.7583 0.2171
0.3990 0.0614 0.6366
0.3990 0.4386 0.1366
0.4961 0.6567 0.0790
0.4961 0.8433 0.5790
0.5039 0.1567 0.4210
0.5039 0.3433 0.9210
0.6010 0.5614 0.8634
0.6010 0.9386 0.3634
0.6495 0.2417 0.7829
0.6495 0.2583 0.2829
0.6554 0.6462 0.4192
0.6554 0.8538 0.9192
0.6940 0.1387 0.9841
0.6940 0.3613 0.4841
0.7278 0.5259 0.6809
0.7278 0.9741 0.1809
0.8964 0.1669 0.4846
0.8964 0.3331 0.9846
0.9019 0.0141 0.6427
0.9019 0.4859 0.1427
0.9657 0.5385 0.3597
0.9657 0.9615 0.8597
0.9871 0.6872 0.6938
0.9871 0.8128 0.1938

=====

Entry 11:
Li2MnCrP2O8 GGA+U optimized geometry; ΔE_f = -2.6004 eV/atom; electronic total energy = -7.16 eV/atom; total magnetic moment = 0.0 μB/cell; space group = P2_1/m, No. 11
1.0
4.7836 0.0000 0.0000
0.0000 6.2584 0.0000
-0.2671 0.0000 10.4191
Li Mn Cr P O
4 2 2 4 16
direct
0.0000 0.0000 0.0000
0.0000 0.5000 0.0000
0.5000 0.0000 0.5000
0.5000 0.5000 0.5000
0.0271 0.2500 0.2816
0.9729 0.7500 0.7184
0.4524 0.2500 0.7836
0.5476 0.7500 0.2164
0.0918 0.7500 0.4042
0.4186 0.7500 0.9105
0.5814 0.2500 0.0895
0.9082 0.2500 0.5958
0.2101 0.7500 0.5447
0.2190 0.5493 0.3378
0.2190 0.9507 0.3378
0.2327 0.2500 0.6039
0.2600 0.2500 0.0923
0.2820 0.5533 0.8404
0.2820 0.9467 0.8404
0.3036 0.7500 0.0496
0.6964 0.2500 0.9504
0.7180 0.0533 0.1596
0.7180 0.4467 0.1596
0.7400 0.7500 0.9077
0.7673 0.7500 0.3961
0.7810 0.0493 0.6622
0.7810 0.4507 0.6622
0.7899 0.2500 0.4553